Crystalline Mg14CrCuO16 at its relaxed geometry. Source: the Materials Project, functional GGA+U.

Calculated values
ΔE to the lowest computed polymorph: 0.0 meV per atom
Size of the total moment: 3.000 μB per formula unit
ρ: 3.80 g/cm3
Calculated formation energy: -2847.4 meV/atom

```
data_Mg14CrCuO16
_chemical_formula_sum 'Mg14 Cr1 Cu1 O16'
_space_group_name_H-M_alt 'P m m m'
_space_group_IT_number 47
_space_group_name_Hall '-P 2 2'
_cell_length_a 4.254
_cell_length_b 8.495
_cell_length_c 8.595
_cell_angle_alpha 90.00
_cell_angle_beta 90.00
_cell_angle_gamma 90.00
loop_
_atom_site_label
_atom_site_type_symbol
_atom_site_fract_x
_atom_site_fract_y
_atom_site_fract_z
_atom_site_occupancy
Mg1 Mg 0.000 0.000 0.000 1
Mg2 Mg 0.000 0.000 0.500 1
Mg3 Mg 0.000 0.251 0.246 1
Mg4 Mg 0.500 0.000 0.249 1
Mg5 Mg 0.500 0.249 0.500 1
Mg6 Mg 0.500 0.252 0.000 1
Mg7 Mg 0.500 0.500 0.245 1
Cr1 Cr 0.000 0.500 0.500 1
Cu1 Cu 0.000 0.500 0.000 1
O1 O 0.000 0.000 0.253 1
O2 O 0.000 0.242 0.000 1
O3 O 0.000 0.253 0.500 1
O4 O 0.000 0.500 0.265 1
O5 O 0.500 0.000 0.000 1
O6 O 0.500 0.000 0.500 1
O7 O 0.500 0.251 0.251 1
O8 O 0.500 0.500 0.000 1
O9 O 0.500 0.500 0.500 1
```